This record from the Materials Project describes an optimized crystal structure of Ba3Nb6Si4O26. The functional is PBE-GGA.

Structure (POSCAR):
```
Ba3Nb6Si4O26
1.0
-0.2231 7.6205 5.1163
-7.8120 -4.3244 -2.1378
0.6274 -4.3495 6.5057
O Ba Si Nb
26 3 4 6
Direct
0.1841 0.4888 0.7161
0.5112 0.6954 0.2839
0.1841 0.4888 0.2839
0.1760 0.1760 0.7652
0.8159 0.3046 0.2839
0.2789 0.0000 0.0000
0.0000 0.8240 0.7652
0.0000 0.2309 0.5000
0.3046 0.8159 0.7161
0.0000 0.8240 0.2348
0.3046 0.8159 0.2839
0.6954 0.5112 0.7161
0.8240 0.0000 0.7652
0.8159 0.3046 0.7161
0.8240 0.0000 0.2348
0.4888 0.1841 0.2839
0.7691 0.7691 0.5000
0.3333 0.6667 0.0000
0.2309 0.0000 0.5000
0.6667 0.3333 0.0000
0.5112 0.6954 0.7161
0.0000 0.2789 0.0000
0.4888 0.1841 0.7161
0.7211 0.7211 0.0000
0.1760 0.1760 0.2348
0.6954 0.5112 0.2839
0.5999 0.0000 0.5000
0.4001 0.4001 0.5000
0.0000 0.5999 0.5000
0.6667 0.3333 0.2058
0.3333 0.6667 0.7942
0.6667 0.3333 0.7942
0.3333 0.6667 0.2058
0.7612 0.7612 0.2443
0.2388 0.0000 0.2443
0.0000 0.2388 0.2443
0.7612 0.7612 0.7557
0.2388 0.0000 0.7557
0.0000 0.2388 0.7557
```

---

This record from the Materials Project describes an optimized crystal structure of VRh3. The functional is PBE-GGA.

Structure (POSCAR):
```
VRh3
1.0
2.0654 4.2271 2.7204
-5.2856 -1.1883 0.4309
0.8548 -2.5824 3.3637
Rh V
6 2
Direct
0.8323 0.6646 0.7500
0.8323 0.1677 0.7500
0.1677 0.3354 0.2500
0.6646 0.8323 0.2500
0.1677 0.8323 0.2500
0.3354 0.1677 0.7500
0.6667 0.3333 0.2500
0.3333 0.6667 0.7500
```

---

K2ZrSi2O7 PBE-GGA relaxed; E above lowest polymorph = 0.0000 eV per atom
1.0
5.6452 0.0000 0.0000
0.0000 9.7080 0.0000
0.0000 6.4875 12.8061
Si O Zr K
8 28 4 8
Direct
0.2636 0.1746 0.6293
0.7516 0.6644 0.1137
0.2364 0.1746 0.1293
0.7364 0.8254 0.3707
0.7484 0.6644 0.6137
0.2516 0.3356 0.3863
0.2484 0.3356 0.8863
0.7636 0.8254 0.8707
0.4481 0.2023 0.1963
0.7825 0.6856 0.4922
0.2458 0.5230 0.3149
0.9481 0.7977 0.3037
0.4964 0.7427 0.6197
0.4761 0.7910 0.3355
0.0036 0.7427 0.1197
0.7175 0.6856 0.9922
0.2493 0.0080 0.6277
0.5239 0.2090 0.6645
0.5036 0.2573 0.3803
0.5519 0.7977 0.8037
0.9761 0.2090 0.1645
0.0519 0.2023 0.6963
0.4748 0.2517 0.8625
0.2175 0.3144 0.5078
0.2507 0.0080 0.1277
0.7507 0.9920 0.3723
0.7493 0.9920 0.8723
0.7542 0.4770 0.6851
0.2825 0.3144 0.0078
0.5252 0.7483 0.1375
0.9964 0.2573 0.8803
0.7458 0.4770 0.1851
0.0239 0.7910 0.8355
0.2542 0.5230 0.8149
0.0252 0.2517 0.3625
0.9748 0.7483 0.6375
0.2434 0.7652 0.2296
0.7434 0.2348 0.2704
0.2566 0.7652 0.7296
0.7566 0.2348 0.7704
0.2431 0.5167 0.5985
0.2536 0.9630 0.9286
0.2569 0.5167 0.0985
0.7431 0.4833 0.9015
0.7569 0.4833 0.4015
0.7464 0.0370 0.0714
0.7536 0.0370 0.5714
0.2464 0.9630 0.4286

---

This record from the Materials Project describes an optimized crystal structure of AlTlF4. The functional is PBE-GGA.

Structure (POSCAR):
```
AlTlF4
1.0
-2.7616 -4.3691 -0.2023
4.2292 -2.6009 -1.5629
0.8165 2.2202 7.0332
Tl F Al
2 8 2
Direct
0.2566 0.2500 0.0000
0.7434 0.7500 0.0000
0.9197 0.3599 0.2268
0.2424 0.2427 0.5375
0.6928 0.1401 0.7732
0.2950 0.7427 0.5375
0.7576 0.7573 0.4625
0.0803 0.6401 0.7732
0.3072 0.8599 0.2268
0.7050 0.2573 0.4625
0.0000 0.5000 0.5000
0.5000 0.0000 0.5000
```

---

Number 1: ΔE_f -3.24 eV/atom. Number 2: ΔE_f -0.38 eV/atom. Number 3: ΔE_f -3.19 eV/atom. Number 4: ΔE_f -3.28 eV/atom.